i:
VASP calculation (PBE-GGA) on an optimized crystal structure of YMg14SnO16.

a = 8.8425 Å, b = 8.8425 Å, c = 4.4511 Å
α = 90.00°, β = 90.00°, γ = 90.00°
Closest atoms and distances in Å follow each position.
Space group P4/mmm (No. 123)
One atom of each set of equivalent atoms:
Y1 0.0000 0.0000 0.0000 (multiplicity 1)  6 O 2.23-2.26
Mg1 0.0000 0.2624 0.5000 (multiplicity 4)  6 O 2.10-2.32
Mg2 0.0000 0.5000 0.0000 (multiplicity 2)  6 O 2.01-2.23
Mg3 0.2428 0.5000 0.5000 (multiplicity 4)  6 O 2.15-2.27
Mg4 0.2534 0.2534 0.0000 (multiplicity 4)  6 O 2.19-2.24
Sn1 0.5000 0.5000 0.0000 (multiplicity 1)  6 O 2.23-2.41
O1 0.0000 0.0000 0.5000 (multiplicity 1)  2 Y 2.23, 4 Mg 2.32
O2 0.0000 0.2556 0.0000 (multiplicity 4)  5 Mg 2.16-2.24, 1 Y 2.26
O3 0.0000 0.5000 0.5000 (multiplicity 2)  6 Mg 2.10-2.23
O4 0.2274 0.5000 0.0000 (multiplicity 4)  5 Mg 2.01-2.23
O5 0.2509 0.2509 0.5000 (multiplicity 4)  6 Mg 2.20-2.23
O6 0.5000 0.5000 0.5000 (multiplicity 1)  2 Sn 2.23, 4 Mg 2.27

Output
ρ, g cm⁻³: 3.84
Total moment, μB/cell: 0.00
Crystal system: tetragonal


ii:
VASP calculation (PBE-GGA) on an optimized crystal structure of YMg14SnO16.

a = 4.4520 Å, b = 8.8238 Å, c = 8.9480 Å
α = 90.00°, β = 90.00°, γ = 90.00°
Closest atoms and distances in Å follow each position.
Space group Pmmm (No. 47)
One atom of each set of equivalent atoms:
Y1 0.0000 0.0000 0.0000 (multiplicity 1)  6 O 2.16-2.30
Mg1 0.0000 0.2624 0.2539 (multiplicity 4)  6 O 2.10-2.32
Mg2 0.0000 0.5000 0.0000 (multiplicity 1)  6 O 2.11-2.23
Mg3 0.0000 0.5000 0.5000 (multiplicity 1)  4 O 1.99-2.23
Mg4 0.5000 0.0000 0.2554 (multiplicity 2)  6 O 2.19-2.29
Mg5 0.5000 0.2616 0.5000 (multiplicity 2)  6 O 2.10-2.31
Mg6 0.5000 0.2640 0.0000 (multiplicity 2)  6 O 2.08-2.33
Mg7 0.5000 0.5000 0.2515 (multiplicity 2)  6 O 2.22-2.25
Sn1 0.0000 0.0000 0.5000 (multiplicity 1)  6 O 2.23-2.42
O1 0.0000 0.0000 0.2414 (multiplicity 2)  1 Y 2.16, 4 Mg 2.23-2.32, 1 Sn 2.31
O2 0.0000 0.2604 0.0000 (multiplicity 2)  5 Mg 2.11-2.27, 1 Y 2.30
O3 0.0000 0.2741 0.5000 (multiplicity 2)  5 Mg 1.99-2.23
O4 0.0000 0.5000 0.2465 (multiplicity 2)  6 Mg 2.10-2.27
O5 0.5000 0.0000 0.0000 (multiplicity 1)  2 Y 2.23, 4 Mg 2.29-2.33
O6 0.5000 0.0000 0.5000 (multiplicity 1)  4 Mg 2.19-2.31, 2 Sn 2.23
O7 0.5000 0.2484 0.2513 (multiplicity 4)  6 Mg 2.19-2.25
O8 0.5000 0.5000 0.0000 (multiplicity 1)  6 Mg 2.08-2.25
O9 0.5000 0.5000 0.5000 (multiplicity 1)  6 Mg 2.10-2.23

Output
ρ, g cm⁻³: 3.80
Total moment, μB/cell: 0.01
Crystal system: orthorhombic


Energy ordering: i at the bottom, the next structure 11 meV/atom above.


i:
VASP calculation (PBE-GGA) on an optimized crystal structure of MgZn4Sn4O8.

a = 3.3868 Å, b = 9.2437 Å, c = 9.4961 Å
α = 81.67°, β = 79.85°, γ = 89.56°
Closest atoms and distances in Å follow each position.
Space group P1 (No. 1)
One atom of each set of equivalent atoms:
Mg1 0.0000 0.0000 0.0000 (multiplicity 1)  1 O 1.99
Zn1 0.1794 0.6704 0.5872 (multiplicity 1)  3 O 1.94-1.97
Zn2 0.5766 0.2713 0.8302 (multiplicity 1)  4 O 1.94-2.12
Zn3 0.7714 0.4384 0.4179 (multiplicity 1)  4 O 1.97-2.08
Zn4 0.9578 0.4654 0.0481 (multiplicity 1)  5 O 2.03-2.16
Sn1 0.1938 0.1272 0.5956 (multiplicity 1)  3 O 2.16-2.22
Sn2 0.3511 0.7460 0.2414 (multiplicity 1)  3 O 2.16-2.29
Sn3 0.3846 0.1816 0.2131 (multiplicity 1)  3 O 2.22-2.28
Sn4 0.5497 0.7459 0.8469 (multiplicity 1)  3 O 2.07-2.16
O1 0.0553 0.6028 0.8409 (multiplicity 1)  2 Sn 2.15-2.16, 2 Zn 2.16-2.36
O2 0.0825 0.1488 0.8229 (multiplicity 1)  1 Mg 1.99, 2 Zn 2.04, 1 Sn 2.16
O3 0.2644 0.5548 0.4267 (multiplicity 1)  3 Zn 1.97-2.01
O4 0.4793 0.3526 0.0108 (multiplicity 1)  3 Zn 1.94-2.05
O5 0.6599 0.7608 0.6234 (multiplicity 1)  2 Zn 1.94, 1 Sn 2.07
O6 0.6880 0.2820 0.6017 (multiplicity 1)  2 Zn 2.08-2.12, 2 Sn 2.22
O7 0.8598 0.3250 0.2547 (multiplicity 1)  2 Zn 1.97-2.16
O8 0.8962 0.6425 0.1534 (multiplicity 1)  1 Zn 2.03, 2 Sn 2.16-2.17

Output
ρ, g cm⁻³: 5.10
Total moment, μB/cell: 0.00
Crystal system: triclinic


ii:
VASP calculation (PBE-GGA) on an optimized crystal structure of MgZn4Sn4O8.

a = 3.2714 Å, b = 9.1354 Å, c = 10.3246 Å
α = 83.36°, β = 86.74°, γ = 80.66°
Closest atoms and distances in Å follow each position.
Space group P1 (No. 1)
One atom of each set of equivalent atoms:
Mg1 0.0000 0.0000 0.0000 (multiplicity 1)  4 O 1.95-2.00
Zn1 0.4381 0.1520 0.2285 (multiplicity 1)  3 O 1.93-2.16
Zn2 0.4617 0.1566 0.7589 (multiplicity 1)  4 O 1.95-2.07
Zn3 0.6177 0.7574 0.9402 (multiplicity 1)  4 O 1.92-2.11
Zn4 0.8146 0.3537 0.9761 (multiplicity 1)  4 O 1.99-2.06
Sn1 0.1129 0.9409 0.5377 (multiplicity 1)  2 O 2.16-2.24
Sn2 0.1391 0.5968 0.2013 (multiplicity 1)  3 O 2.12-2.15
Sn3 0.2706 0.5392 0.7064 (multiplicity 1)  3 O 2.12-2.21
Sn4 0.9424 0.3204 0.4719 (multiplicity 1)  2 O 2.22-2.24
O1 0.0581 0.1128 0.3742 (multiplicity 1)  1 Zn 1.93, 1 Sn 2.16
O2 0.0877 0.7795 0.0529 (multiplicity 1)  1 Mg 2.00, 2 Zn 2.03, 1 Sn 2.12
O3 0.3393 0.3452 0.8576 (multiplicity 1)  3 Zn 2.05-2.07, 1 Sn 2.21
O4 0.5214 0.9919 0.8985 (multiplicity 1)  2 Mg 1.95, 2 Zn 1.95-2.11
O5 0.6969 0.5105 0.0975 (multiplicity 1)  1 Zn 1.99, 2 Sn 2.15
O6 0.7120 0.6305 0.8019 (multiplicity 1)  1 Zn 1.92, 2 Sn 2.12
O7 0.9099 0.1661 0.1095 (multiplicity 1)  3 Zn 1.93-2.16, 1 Mg 1.97
O8 0.9879 0.1448 0.6432 (multiplicity 1)  2 Zn 2.03, 2 Sn 2.24

Output
ρ, g cm⁻³: 4.88
Total moment, μB/cell: 0.00
Crystal system: triclinic


Energy ordering: ii at the bottom, the next structure 133 meV/atom above.